Below is a relaxed TmAgPb crystal, with properties calculated at the meta-GGA r2SCAN level.

Computed properties:
energy	-38.021	eV/atom

abc: 7.4320 7.4320 4.4874
angles: 90.00 90.00 120.00
Positions (direct):
1 Tm 0.0000 0.5726 0.0000
2 Tm 0.4274 0.4274 0.0000
3 Tm 0.5726 0.0000 0.0000
4 Ag 0.0000 0.2465 0.5000
5 Ag 0.2465 0.0000 0.5000
6 Ag 0.7535 0.7535 0.5000
7 Pb 0.0000 0.0000 0.0000
8 Pb 0.3333 0.6667 0.5000
9 Pb 0.6667 0.3333 0.5000

---

Below is a relaxed YbAg2Pb crystal, with properties calculated at the meta-GGA r2SCAN level.

Computed properties:
energy	-34.098	eV/atom

abc: 7.0181 7.0181 7.0181
angles: 90.00 90.00 90.00
Positions (direct):
1 Yb 0.0000 0.0000 0.0000
2 Yb 0.0000 0.5000 0.5000
3 Yb 0.5000 0.0000 0.5000
4 Yb 0.5000 0.5000 0.0000
5 Ag 0.2500 0.2500 0.2500
6 Ag 0.2500 0.2500 0.7500
7 Ag 0.2500 0.7500 0.2500
8 Ag 0.2500 0.7500 0.7500
9 Ag 0.7500 0.2500 0.2500
10 Ag 0.7500 0.2500 0.7500
11 Ag 0.7500 0.7500 0.2500
12 Ag 0.7500 0.7500 0.7500
13 Pb 0.0000 0.0000 0.5000
14 Pb 0.0000 0.5000 0.0000
15 Pb 0.5000 0.0000 0.0000
16 Pb 0.5000 0.5000 0.5000

---

Below is a relaxed YbAgPb crystal, with properties calculated at the meta-GGA r2SCAN level.

Computed properties:
energy	-38.253	eV/atom

abc: 8.2299 4.7625 7.7449
angles: 90.00 90.05 90.00
Positions (direct):
1 Yb 0.0002 0.0000 0.2038
2 Yb 0.9998 0.0000 0.7962
3 Yb 0.5002 0.5000 0.2038
4 Yb 0.4998 0.5000 0.7962
5 Ag 0.1669 0.5000 0.0052
6 Ag 0.3331 0.0000 0.9948
7 Ag 0.6669 0.0000 0.0052
8 Ag 0.8331 0.5000 0.9948
9 Pb 0.1667 0.5000 0.4065
10 Pb 0.3333 0.0000 0.5935
11 Pb 0.6667 0.0000 0.4065
12 Pb 0.8333 0.5000 0.5935

---

Below is a relaxed SrAg3Pd2 crystal, with properties calculated at the meta-GGA r2SCAN level.

Computed properties:
energy	-21.184	eV/atom

abc: 5.5486 5.5486 4.5562
angles: 90.00 90.00 120.00
Positions (direct):
1 Sr 0.0000 0.0000 0.0000
2 Ag 0.0000 0.5000 0.5000
3 Ag 0.5000 0.0000 0.5000
4 Ag 0.5000 0.5000 0.5000
5 Pd 0.3333 0.6667 0.0000
6 Pd 0.6667 0.3333 0.0000

---

Below is a relaxed YbAgPd2 crystal, with properties calculated at the meta-GGA r2SCAN level.

Computed properties:
energy	-26.648	eV/atom

abc: 6.5729 6.5729 6.5729
angles: 90.00 90.00 90.00
Positions (direct):
1 Yb 0.0000 0.0000 0.0000
2 Yb 0.0000 0.5000 0.5000
3 Yb 0.5000 0.0000 0.5000
4 Yb 0.5000 0.5000 0.0000
5 Ag 0.0000 0.0000 0.5000
6 Ag 0.0000 0.5000 0.0000
7 Ag 0.5000 0.0000 0.0000
8 Ag 0.5000 0.5000 0.5000
9 Pd 0.2500 0.2500 0.2500
10 Pd 0.2500 0.2500 0.7500
11 Pd 0.2500 0.7500 0.2500
12 Pd 0.2500 0.7500 0.7500
13 Pd 0.7500 0.2500 0.2500
14 Pd 0.7500 0.2500 0.7500
15 Pd 0.7500 0.7500 0.2500
16 Pd 0.7500 0.7500 0.7500

---

Below is a relaxed Zr8AgPd3 crystal, with properties calculated at the meta-GGA r2SCAN level.

Computed properties:
energy	-23.093	eV/atom

abc: 3.3239 3.3239 22.1010
angles: 90.00 90.00 90.00
Positions (direct):
1 Zr 0.0000 0.0000 0.0770
2 Zr 0.0000 0.0000 0.4149
3 Zr 0.0000 0.0000 0.5851
4 Zr 0.0000 0.0000 0.9230
5 Zr 0.5000 0.5000 0.1690
6 Zr 0.5000 0.5000 0.3227
7 Zr 0.5000 0.5000 0.6773
8 Zr 0.5000 0.5000 0.8310
9 Ag 0.5000 0.5000 0.5000
10 Pd 0.0000 0.0000 0.2464
11 Pd 0.0000 0.0000 0.7536
12 Pd 0.5000 0.5000 0.0000

---

Number 1: calculated formation energy -433.5 meV/atom, calculated density 11.23 g/cm³, size of the total moment 0.0 Bohr magnetons per cell. Number 2: calculated formation energy -216.4 meV/atom, calculated density 11.45 g/cm³, size of the total moment 0.0 Bohr magnetons per cell. Number 3: calculated formation energy -196.3 meV/atom, calculated density 10.68 g/cm³, size of the total moment 0.0 Bohr magnetons per cell. Number 4: calculated formation energy -328.7 meV/atom, calculated density 8.53 g/cm³, size of the total moment 0.0 Bohr magnetons per cell. Number 5: calculated formation energy -696.7 meV/atom, calculated density 11.55 g/cm³, size of the total moment 0.0 Bohr magnetons per cell. Number 6: calculated formation energy -407.0 meV/atom, calculated density 7.87 g/cm³, size of the total moment 0.0 Bohr magnetons per cell.